Entry 1:
Crystalline CsSrBr3 at its relaxed geometry, computed with r2SCAN.

a b c (Å): 4.554 11.548 7.887
angles (deg): 90.00 106.76 90.00
Element x y z (fractional)
Cs: 0.247 0.000 0.494
Cs: 0.753 0.500 0.506
Sr: 0.499 0.249 0.000
Sr: 0.501 0.749 0.000
Br: 0.132 0.296 0.265
Br: 0.133 0.702 0.265
Br: 0.438 0.499 0.881
Br: 0.562 0.999 0.119
Br: 0.867 0.202 0.735
Br: 0.868 0.796 0.735

## Properties
The space group is No. 4. The formation energy is -2.28 eV/atom.

=====

Entry 2:
Crystalline CsSrBr3 at its relaxed geometry, computed with r2SCAN.

a b c (Å): 8.507 11.792 8.212
angles (deg): 90.00 90.00 90.00
Element x y z (fractional)
Cs: 0.058 0.250 0.019
Cs: 0.442 0.750 0.519
Cs: 0.558 0.250 0.481
Cs: 0.942 0.750 0.981
Sr: 0.000 0.000 0.500
Sr: 0.000 0.500 0.500
Sr: 0.500 0.000 0.000
Sr: 0.500 0.500 0.000
Br: 0.016 0.750 0.420
Br: 0.206 0.541 0.796
Br: 0.206 0.959 0.796
Br: 0.294 0.041 0.296
Br: 0.294 0.459 0.296
Br: 0.484 0.250 0.920
Br: 0.516 0.750 0.080
Br: 0.706 0.541 0.704
Br: 0.706 0.959 0.704
Br: 0.794 0.041 0.204
Br: 0.794 0.459 0.204
Br: 0.984 0.250 0.580

## Properties
The space group is No. 62. The formation energy is -2.28 eV/atom.